(1)
! BaB4Pt6, optimized geometry, DFT PBE; values from VASP
&SYSTEM
  ibrav = 0, nat = 11, ntyp = 3
/
ATOMIC_SPECIES
B 10.81 B.upf
Pt 195.08 Pt.upf
Ba 137.33 Ba.upf
CELL_PARAMETERS angstrom
3.1277 -5.4173 0.0000
3.1277 5.4173 0.0000
0.0000 0.0000 5.3028
ATOMIC_POSITIONS crystal
B 0.6667 0.3333 0.4258
B 0.3333 0.6667 0.9275
B 0.6667 0.3333 0.0725
Pt 0.4825 0.5175 0.2485
B 0.3333 0.6667 0.5742
Ba 0.0000 0.0000 0.5000
Pt 0.5175 0.4825 0.7515
Pt 0.5175 0.0350 0.7515
Pt 0.0350 0.5175 0.2485
Pt 0.4825 0.9650 0.2485
Pt 0.9650 0.4825 0.7515
! ΔE_f   -0.425 eV/atom
! Space group   P-3m1 (164)


(2)
! BaB2Rh2, optimized geometry, DFT PBE; values from VASP
&SYSTEM
  ibrav = 0, nat = 5, ntyp = 3
/
ATOMIC_SPECIES
Ba 137.33 Ba.upf
Rh 102.91 Rh.upf
B 10.81 B.upf
CELL_PARAMETERS angstrom
-2.7380 5.0605 2.7910
-6.0257 0.6142 2.0514
5.1349 -3.8106 0.0822
ATOMIC_POSITIONS crystal
Ba 0.0000 0.0000 0.0000
Rh 0.7500 0.2500 0.5000
Rh 0.2500 0.7500 0.5000
B 0.6833 0.6833 0.0000
B 0.3167 0.3167 0.0000
! ΔE_f   -0.467 eV/atom
! Space group   I4/mmm (139)


(3)
! BaBSbS4, optimized geometry, DFT PBE; values from VASP
&SYSTEM
  ibrav = 0, nat = 28, ntyp = 4
/
ATOMIC_SPECIES
S 32.06 S.upf
B 10.81 B.upf
Sb 121.76 Sb.upf
Ba 137.33 Ba.upf
CELL_PARAMETERS angstrom
6.2639 0.0000 0.0000
0.0000 9.9533 0.0000
0.0000 0.0000 11.8980
ATOMIC_POSITIONS crystal
S 0.7500 0.3301 0.1001
S 0.7500 0.4247 0.5914
B 0.7500 0.8078 0.5495
B 0.2500 0.1922 0.4505
S 0.9976 0.2922 0.8716
S 0.0024 0.7078 0.1284
Sb 0.7500 0.6899 0.9597
Ba 0.2500 0.4840 0.6670
S 0.4976 0.7078 0.1284
S 0.2500 0.5753 0.4086
S 0.5024 0.7922 0.6284
S 0.2500 0.0753 0.0914
Ba 0.2500 0.9840 0.8330
Sb 0.2500 0.3101 0.0403
B 0.2500 0.6922 0.0495
Sb 0.7500 0.1899 0.5403
S 0.5024 0.2922 0.8716
Ba 0.7500 0.5160 0.3330
Sb 0.2500 0.8101 0.4597
S 0.0024 0.2078 0.3716
S 0.2500 0.1699 0.6001
S 0.2500 0.6699 0.8999
S 0.4976 0.2078 0.3716
S 0.7500 0.8301 0.3999
Ba 0.7500 0.0160 0.1670
S 0.9976 0.7922 0.6284
B 0.7500 0.3078 0.9505
S 0.7500 0.9247 0.9086
! ΔE_f   -1.211 eV/atom
! Space group   Pnma (62)


(4)
! Ba7B4Se13, optimized geometry, DFT PBE; values from VASP
&SYSTEM
  ibrav = 0, nat = 48, ntyp = 3
/
ATOMIC_SPECIES
Se 78.96 Se.upf
Ba 137.33 Ba.upf
B 10.81 B.upf
CELL_PARAMETERS angstrom
12.7734 5.3352 0.0000
-12.7734 5.3352 0.0000
0.0000 0.0040 10.6630
ATOMIC_POSITIONS crystal
Se 0.9789 0.8281 0.9895
Se 0.3215 0.1685 0.7981
Ba 0.4961 0.5039 0.7500
Se 0.9954 0.3765 0.1529
Ba 0.5039 0.4961 0.2500
Ba 0.2779 0.9357 0.9722
Se 0.8281 0.9789 0.4895
Se 0.2058 0.7942 0.2500
Se 0.8315 0.6785 0.7019
Se 0.6785 0.8315 0.2019
Ba 0.1046 0.4512 0.8566
B 0.4830 0.7162 0.9317
Se 0.6295 0.4668 0.9993
Se 0.0211 0.1719 0.0105
Se 0.1825 0.3411 0.6508
Se 0.8175 0.6589 0.3492
Se 0.5970 0.2077 0.0627
Se 0.0046 0.6235 0.8471
B 0.9328 0.7080 0.8505
Se 0.2077 0.5970 0.5627
Se 0.7923 0.4030 0.4373
Ba 0.4512 0.1046 0.3566
Ba 0.9357 0.2779 0.4722
B 0.2838 0.5170 0.5683
Se 0.4668 0.6295 0.4993
Se 0.4030 0.7923 0.9373
Se 0.1685 0.3215 0.2981
B 0.2920 0.0672 0.6495
Ba 0.6677 0.3323 0.7500
Ba 0.0643 0.7221 0.5278
B 0.0672 0.2920 0.1495
Se 0.6235 0.0046 0.3471
Ba 0.5488 0.8954 0.6434
Se 0.7942 0.2058 0.7500
B 0.7080 0.9328 0.3505
Se 0.5332 0.3705 0.5007
Ba 0.3323 0.6677 0.2500
Ba 0.9962 0.0038 0.7500
Se 0.6589 0.8175 0.8492
Ba 0.0038 0.9962 0.2500
Se 0.3411 0.1825 0.1508
Se 0.1719 0.0211 0.5105
Se 0.3765 0.9954 0.6529
Se 0.3705 0.5332 0.0007
B 0.7162 0.4830 0.4317
Ba 0.7221 0.0643 0.0278
B 0.5170 0.2838 0.0683
Ba 0.8954 0.5488 0.1434
! ΔE_f   -1.542 eV/atom
! Space group   C2/c (15)


(5)
! Ba3SmB24, optimized geometry, DFT PBE; values from VASP
&SYSTEM
  ibrav = 0, nat = 28, ntyp = 3
/
ATOMIC_SPECIES
Ba 137.33 Ba.upf
Sm 150.36 Sm.upf
B 10.81 B.upf
CELL_PARAMETERS angstrom
4.2355 0.0000 0.0000
0.0000 4.2355 0.0000
0.0000 0.0000 16.9635
ATOMIC_POSITIONS crystal
Ba 0.0000 0.0000 0.2498
Sm 0.0000 0.0000 0.0000
B 0.5000 0.5000 0.8040
B 0.5000 0.2045 0.6257
B 0.5000 0.5000 0.1960
B 0.5000 0.2024 0.1209
B 0.2045 0.5000 0.3743
B 0.7955 0.5000 0.3743
B 0.5000 0.2045 0.3743
B 0.5000 0.5000 0.9516
B 0.5000 0.7955 0.6257
B 0.7955 0.5000 0.6257
B 0.7976 0.5000 0.8791
B 0.5000 0.7976 0.8791
Ba 0.0000 0.0000 0.7502
B 0.5000 0.7955 0.3743
B 0.5000 0.5000 0.0484
B 0.5000 0.2024 0.8791
B 0.2024 0.5000 0.8791
B 0.5000 0.5000 0.7002
B 0.2045 0.5000 0.6257
B 0.5000 0.5000 0.4484
B 0.5000 0.5000 0.2998
B 0.7976 0.5000 0.1209
B 0.5000 0.7976 0.1209
B 0.5000 0.5000 0.5516
B 0.2024 0.5000 0.1209
Ba 0.0000 0.0000 0.5000
! ΔE_f   -0.424 eV/atom
! Space group   P4/mmm (123)